A plane-wave DFT calculation with GGA-PBE was carried out for crystalline Na2Y6Nb2Si3S9O48 at its relaxed geometry.

Output
* energy of formation: -2695 meV/atom

a = 18.237 Å, b = 9.133 Å, c = 23.999 Å
α = 89.90°, β = 90.13°, γ = 120.16°
Atoms (fractional coordinates):
Na  0.999  0.986  0.499
Na  0.502  0.014  0.996
Na  0.344  0.337  0.835
Na  0.838  0.361  0.830
Na  0.340  0.319  0.337
Na  0.843  0.348  0.344
Y  0.005  0.990  0.360
Y  0.504  0.018  0.857
Y  0.001  0.995  0.649
Y  0.502  0.007  0.150
Y  0.327  0.339  0.682
Y  0.840  0.339  0.685
Y  0.345  0.339  0.189
Y  0.825  0.313  0.183
Y  0.334  0.332  0.981
Y  0.839  0.333  0.982
Y  0.340  0.346  0.483
Y  0.829  0.327  0.485
Y  0.162  0.662  0.019
Y  0.663  0.674  0.523
Y  0.162  0.672  0.313
Y  0.668  0.665  0.309
Y  0.168  0.673  0.807
Y  0.661  0.649  0.811
Nb  0.492  0.005  0.356
Nb  0.992  0.980  0.854
Nb  0.499  0.991  0.643
Nb  0.995  0.000  0.146
Nb  0.675  0.666  0.014
Nb  0.174  0.683  0.516
Si  0.497  0.286  0.253
Si  0.994  0.701  0.752
Si  0.688  0.043  0.586
Si  0.329  0.628  0.583
Si  0.829  0.031  0.083
Si  0.812  0.661  0.913
Si  0.521  0.375  0.919
Si  0.311  0.964  0.414
Si  0.018  0.659  0.419
S  0.142  0.005  0.246
S  0.644  0.008  0.255
S  0.358  0.712  0.254
S  0.861  0.716  0.248
S  0.999  0.279  0.248
S  0.144  0.280  0.755
S  0.642  0.281  0.746
S  0.498  0.718  0.748
S  0.360  0.008  0.748
S  0.859  0.006  0.754
S  0.479  0.321  0.587
S  0.988  0.342  0.580
S  0.185  0.032  0.580
S  0.835  0.633  0.582
S  0.486  0.633  0.080
S  0.980  0.638  0.087
S  0.333  0.036  0.082
S  0.182  0.324  0.087
S  0.685  0.339  0.080
S  0.313  0.667  0.917
S  0.022  0.367  0.913
S  0.162  0.961  0.914
S  0.666  0.950  0.919
S  0.814  0.960  0.416
S  0.167  0.383  0.419
S  0.663  0.364  0.413
S  0.520  0.676  0.412
O  0.105  0.027  0.297
O  0.597  0.020  0.303
O  0.413  0.802  0.303
O  0.912  0.795  0.298
O  0.489  0.157  0.307
O  0.987  0.177  0.297
O  0.096  0.172  0.804
O  0.604  0.183  0.799
O  0.487  0.796  0.799
O  0.989  0.819  0.807
O  0.410  0.030  0.800
O  0.914  0.021  0.804
O  0.405  0.995  0.699
O  0.899  0.991  0.703
O  0.098  0.210  0.703
O  0.587  0.185  0.698
O  0.005  0.814  0.698
O  0.501  0.820  0.698
O  0.398  0.806  0.202
O  0.908  0.823  0.197
O  0.003  0.181  0.197
O  0.505  0.196  0.197
O  0.087  0.992  0.197
O  0.599  0.986  0.202
O  0.438  0.350  0.635
O  0.952  0.370  0.631
O  0.234  0.104  0.631
O  0.745  0.133  0.640
O  0.310  0.513  0.638
O  0.829  0.537  0.633
O  0.448  0.532  0.132
O  0.940  0.529  0.136
O  0.324  0.118  0.133
O  0.812  0.108  0.138
O  0.237  0.354  0.135
O  0.734  0.364  0.131
O  0.214  0.283  0.037
O  0.728  0.316  0.032
O  0.428  0.548  0.033
O  0.928  0.574  0.037
O  0.344  0.141  0.033
O  0.858  0.155  0.030
O  0.228  0.140  0.532
O  0.720  0.157  0.531
O  0.355  0.557  0.530
O  0.850  0.555  0.532
O  0.426  0.283  0.537
O  0.931  0.311  0.532
O  0.271  0.686  0.968
O  0.764  0.687  0.970
O  0.070  0.441  0.965
O  0.584  0.492  0.972
O  0.148  0.858  0.965
O  0.661  0.847  0.969
O  0.263  0.843  0.470
O  0.773  0.857  0.466
O  0.161  0.473  0.469
O  0.647  0.432  0.464
O  0.083  0.672  0.471
O  0.568  0.700  0.464
O  0.061  0.644  0.361
O  0.564  0.652  0.364
O  0.258  0.871  0.359
O  0.766  0.876  0.365
O  0.176  0.475  0.367
O  0.675  0.472  0.364
O  0.065  0.480  0.866
O  0.560  0.478  0.862
O  0.178  0.882  0.866
O  0.676  0.875  0.867
O  0.264  0.653  0.867
O  0.756  0.646  0.860
O  0.018  0.839  0.421
O  0.513  0.830  0.401
O  0.405  0.970  0.404
O  0.900  0.982  0.412
O  0.088  0.214  0.417
O  0.585  0.190  0.403
O  0.015  0.199  0.904
O  0.517  0.193  0.921
O  0.085  0.977  0.904
O  0.587  0.959  0.918
O  0.399  0.817  0.914
O  0.906  0.843  0.904
O  0.488  0.170  0.599
O  0.999  0.192  0.586
O  0.099  0.010  0.584
O  0.589  0.016  0.603
O  0.410  0.820  0.602
O  0.910  0.809  0.586
O  0.496  0.804  0.086
O  0.993  0.812  0.100
O  0.408  0.014  0.086
O  0.912  0.002  0.102
O  0.094  0.171  0.100
O  0.599  0.188  0.084
O  0.349  0.157  0.743
O  0.855  0.164  0.754
O  0.228  0.288  0.753
O  0.727  0.300  0.742
O  0.423  0.545  0.743
O  0.908  0.521  0.755
O  0.352  0.543  0.251
O  0.851  0.547  0.240
O  0.409  0.294  0.254
O  0.924  0.300  0.240
O  0.226  0.157  0.238
O  0.729  0.168  0.252
O  0.319  0.512  0.922
O  0.831  0.511  0.925
O  0.426  0.349  0.925
O  0.936  0.345  0.918
O  0.235  0.134  0.921
O  0.740  0.122  0.926
O  0.331  0.154  0.424
O  0.821  0.129  0.419
O  0.241  0.358  0.425
O  0.736  0.339  0.417
O  0.434  0.527  0.416
O  0.924  0.498  0.423
O  0.167  0.467  0.077
O  0.677  0.492  0.071
O  0.066  0.663  0.078
O  0.570  0.648  0.070
O  0.256  0.867  0.075
O  0.750  0.843  0.066
O  0.176  0.861  0.571
O  0.666  0.851  0.576
O  0.249  0.655  0.566
O  0.758  0.644  0.575
O  0.073  0.494  0.569
O  0.564  0.465  0.578
O  0.147  0.850  0.248
O  0.657  0.863  0.261
O  0.275  0.693  0.260
O  0.780  0.711  0.250
O  0.078  0.441  0.247
O  0.579  0.464  0.263
O  0.157  0.450  0.762
O  0.647  0.446  0.749
O  0.078  0.695  0.764
O  0.576  0.711  0.750
O  0.278  0.851  0.752
O  0.776  0.856  0.761